[1]
This record from the Materials Project describes FeP2O7 after structural relaxation. The functional is PBE+U.

Output
The value obtained for the total magnetization is 4.00 Bohr magnetons per cell. For the uncorrected energy, the calculation gives -68.26 eV/f.u. The calculation puts the energy above the most stable polymorph in this dataset at 0.123 eV per atom. The value obtained for the maximum piezoelectric response is 1.3 C/m2. Its formation energy from the elements is -2.14 eV per atom.

Cell lengths 4.9899, 8.2106, 7.0382 Å; angles 90.00, 106.94, 90.00 degrees
Space group P2_1 (No. 4)
One atom of each set of equivalent atoms:
Fe  0.2126  0.0000  0.2264 [2 per cell]
P  0.2388  0.2674  0.6009 [2 per cell]
P  0.3867  0.6777  0.0128 [2 per cell]
O  0.0129  0.8256  0.3358 [2 per cell]
O  0.1448  0.1698  0.4102 [2 per cell]
O  0.1581  0.5480  0.9729 [2 per cell]
O  0.2693  0.8492  0.0141 [2 per cell]
O  0.4126  0.1397  0.7665 [2 per cell]
O  0.4316  0.4099  0.5875 [2 per cell]
O  0.4372  0.1669  0.1319 [2 per cell]

=====

[2]
This record from the Materials Project describes FeP3O11 after structural relaxation. The functional is PBE+U.

Output
The value obtained for the total magnetization is 20.01 Bohr magnetons per cell. For the uncorrected energy, the calculation gives -101.14 eV/f.u. Its formation energy from the elements is -1.62 eV per atom.

Cell lengths 12.2401, 7.9671, 9.4288 Å; angles 90.00, 109.63, 90.00 degrees
Space group C2/c (No. 15)
One atom of each set of equivalent atoms:
Fe  0.2500  0.2500  0.0000 [4 per cell]
P  0.0000  0.1817  0.7500 [4 per cell]
P  0.1678  0.0785  0.2845 [8 per cell]
O  0.0000  0.3007  0.2500 [4 per cell]
O  0.0752  0.0560  0.6829 [8 per cell]
O  0.0798  0.2757  0.8822 [8 per cell]
O  0.0902  0.1968  0.3570 [8 per cell]
O  0.2146  0.1735  0.1818 [8 per cell]
O  0.2488  0.0086  0.9212 [8 per cell]

=====

[3]
This record from the Materials Project describes FeP2O7 after structural relaxation. The functional is PBE+U.

Output
The value obtained for the total magnetization is 16.00 Bohr magnetons per cell. For the uncorrected energy, the calculation gives -69.45 eV/f.u. The calculation puts the energy above the most stable polymorph in this dataset at 0.004 eV per atom. Its formation energy from the elements is -2.26 eV per atom.

Cell lengths 7.4129, 8.1611, 9.6234 Å; angles 90.00, 110.64, 90.00 degrees
Space group P2_1/c (No. 14)
One atom of each set of equivalent atoms:
Fe  0.2314  0.0075  0.2500 [4 per cell]
P  0.1785  0.7036  0.4478 [4 per cell]
P  0.4286  0.2398  0.5524 [4 per cell]
O  0.0411  0.5818  0.3431 [4 per cell]
O  0.1451  0.6192  0.8953 [4 per cell]
O  0.1797  0.6856  0.6064 [4 per cell]
O  0.3065  0.1458  0.1069 [4 per cell]
O  0.3145  0.1935  0.3917 [4 per cell]
O  0.3896  0.6515  0.4483 [4 per cell]
O  0.4969  0.5914  0.8465 [4 per cell]

=====

What is the formation energy from the elements in the second record? -1.62 eV per atom

=====

Repeat the third record exactly.
This record from the Materials Project describes FeP2O7 after structural relaxation. The functional is PBE+U.

Output
The value obtained for the total magnetization is 16.00 Bohr magnetons per cell. For the uncorrected energy, the calculation gives -69.45 eV/f.u. The calculation puts the energy above the most stable polymorph in this dataset at 0.004 eV per atom. Its formation energy from the elements is -2.26 eV per atom.

Cell lengths 7.4129, 8.1611, 9.6234 Å; angles 90.00, 110.64, 90.00 degrees
Space group P2_1/c (No. 14)
One atom of each set of equivalent atoms:
Fe  0.2314  0.0075  0.2500 [4 per cell]
P  0.1785  0.7036  0.4478 [4 per cell]
P  0.4286  0.2398  0.5524 [4 per cell]
O  0.0411  0.5818  0.3431 [4 per cell]
O  0.1451  0.6192  0.8953 [4 per cell]
O  0.1797  0.6856  0.6064 [4 per cell]
O  0.3065  0.1458  0.1069 [4 per cell]
O  0.3145  0.1935  0.3917 [4 per cell]
O  0.3896  0.6515  0.4483 [4 per cell]
O  0.4969  0.5914  0.8465 [4 per cell]

=====

Look up the formation energy from the elements of the second one. -1.62 eV per atom

=====

Among the records above, which one has the lowest uncorrected energy? FeP3O11